A relaxed Al2FeO4 crystal, computed with PBE+U.

Calculated values
For the offset from the most stable computed form, the calculation gives 482 meV/atom. For the energy of formation from the pure elements, the calculation gives -17.0 eV per formula unit.

a = 19.3585 Å, b = 19.3585 Å, c = 19.3585 Å
α = 17.31°, β = 17.31°, γ = 17.31°
Closest atoms and distances in Å follow each position.
Positions (direct):
Al 0.0000 0.0000 0.0000  6 O 1.94
Al 0.1204 0.6268 0.6268  6 O 1.91-2.00
Al 0.1247 0.1247 0.6255  6 O 1.94-1.95
Al 0.1247 0.6255 0.1247  6 O 1.94-1.95
Al 0.1555 0.1555 0.1555  4 O 1.82-1.85
Al 0.2501 0.2501 0.2501  6 O 1.92-1.94
Al 0.3748 0.8751 0.8751  6 O 1.94
Al 0.3774 0.3774 0.8717  6 O 1.90-2.08
Al 0.3774 0.8717 0.3774  6 O 1.90-2.08
Al 0.6255 0.1247 0.1247  6 O 1.94-1.95
Al 0.6268 0.1204 0.6268  6 O 1.91-2.00
Al 0.6268 0.6268 0.1204  6 O 1.91-2.00
Al 0.7495 0.7495 0.7495  6 O 1.93
Al 0.8717 0.3774 0.3774  6 O 1.90-2.08
Al 0.8751 0.3748 0.8751  6 O 1.94
Al 0.8751 0.8751 0.3748  6 O 1.94
Fe 0.0936 0.0936 0.0936  4 O 2.01
Fe 0.3437 0.3437 0.3437  4 O 2.00-2.01
Fe 0.4067 0.4067 0.4067  4 O 2.01-2.07
Fe 0.5005 0.5005 0.5005  6 O 2.09-2.16
Fe 0.5943 0.5943 0.5943  4 O 1.98-2.00
Fe 0.6564 0.6564 0.6564  4 O 2.00-2.01
Fe 0.8444 0.8444 0.8444  4 O 1.97-2.03
Fe 0.9056 0.9056 0.9056  4 O 2.02-2.04
O 0.0202 0.5816 0.5816  3 Al 1.93-1.94, 1 Fe 2.01
O 0.0585 0.0585 0.0585  3 Al 1.94, 1 Fe 2.01
O 0.0847 0.0847 0.5140  3 Al 1.92, 1 Fe 2.02
O 0.0847 0.5140 0.0847  3 Al 1.92, 1 Fe 2.02
O 0.1680 0.1680 0.7301  3 Al 1.94, 1 Fe 2.00
O 0.1680 0.7301 0.1680  3 Al 1.94, 1 Fe 2.00
O 0.1878 0.1878 0.1878  1 Al 1.85
O 0.2157 0.6794 0.6794  2 Al 1.90, 2 Fe 1.97-2.09
O 0.2698 0.8319 0.8319  3 Al 1.94, 1 Fe 2.01
O 0.3086 0.3086 0.3086  3 Al 1.94, 1 Fe 2.01
O 0.3107 0.3107 0.8089  3 Al 1.82-2.00
O 0.3107 0.8089 0.3107  3 Al 1.82-2.00
O 0.4182 0.4182 0.9804  3 Al 1.94, 1 Fe 2.00
O 0.4182 0.9804 0.4182  3 Al 1.94, 1 Fe 2.00
O 0.4429 0.4429 0.4429  3 Al 1.91, 1 Fe 2.07
O 0.4824 0.9164 0.9164  3 Al 1.93, 1 Fe 2.01
O 0.5140 0.0847 0.0847  3 Al 1.92, 1 Fe 2.02
O 0.5596 0.5596 0.5596  3 Al 1.94, 1 Fe 1.98
O 0.5816 0.0202 0.5816  3 Al 1.93-1.94, 1 Fe 2.01
O 0.5816 0.5816 0.0202  3 Al 1.93-1.94, 1 Fe 2.01
O 0.6794 0.2157 0.6794  2 Al 1.90, 2 Fe 1.97-2.09
O 0.6794 0.6794 0.2157  2 Al 1.90, 2 Fe 1.97-2.09
O 0.6914 0.6914 0.6914  3 Al 1.94, 1 Fe 2.00
O 0.7301 0.1680 0.1680  3 Al 1.94, 1 Fe 2.00
O 0.8089 0.3107 0.3107  3 Al 1.82-2.00
O 0.8088 0.8088 0.8088  3 Al 1.94, 1 Fe 2.03
O 0.8319 0.2698 0.8319  3 Al 1.94, 1 Fe 2.01
O 0.8319 0.8319 0.2698  3 Al 1.94, 1 Fe 2.01
O 0.9164 0.4824 0.9164  3 Al 1.93, 1 Fe 2.01
O 0.9164 0.9164 0.4824  3 Al 1.93, 1 Fe 2.01
O 0.9412 0.9412 0.9412  3 Al 1.95, 1 Fe 2.04
O 0.9804 0.4182 0.4182  3 Al 1.94, 1 Fe 2.00